A geometry-optimized MgCr2O6 structure. Source: the Materials Project database, functional GGA+U.

Summary:
- ΔE_f: -1875.5 meV per atom
- Corrected total energy (MP2020 scheme): -7.50 eV per atom

a b c (Å): 5.0136 5.2774 7.1568
angles (deg): 90.00 90.00 90.00
With the nearest neighbours (Å) after each atom.
Sites, in units of the cell vectors:
Cr: 0.0298 0.2333 0.2394  4 O 1.75-1.94
Cr: 0.0298 0.2333 0.7606  4 O 1.75-1.94
Cr: 0.5298 0.7667 0.7394  4 O 1.75-1.94
Cr: 0.5298 0.7667 0.2606  4 O 1.75-1.94
O: 0.1340 0.2285 0.5000  2 Cr 1.94, 1 Mg 2.03
O: 0.6340 0.7715 0.0000  2 Cr 1.94, 1 Mg 2.03
O: 0.6823 0.0595 0.3136  1 Cr 1.77
O: 0.3883 0.7290 0.5000  2 Cr 1.87
O: 0.1823 0.9405 0.1864  1 Cr 1.77
O: 0.1823 0.9405 0.8136  1 Cr 1.77
O: 0.6823 0.0595 0.6864  1 Cr 1.77
O: 0.2700 0.4652 0.1934  1 Cr 1.75
O: 0.7700 0.5348 0.3066  1 Cr 1.75
O: 0.7700 0.5348 0.6934  1 Cr 1.75
O: 0.8883 0.2710 0.0000  2 Cr 1.87
O: 0.2700 0.4652 0.8066  1 Cr 1.75
Mg: 0.5265 0.3264 0.5000  6 O 2.03-2.23
Mg: 0.0265 0.6736 0.0000  6 O 2.03-2.23

A geometry-optimized MgCr2O6 structure. Source: the Materials Project database, functional GGA+U.

Summary:
- ΔE_f: -1945.0 meV per atom
- Corrected total energy (MP2020 scheme): -7.57 eV per atom

a b c (Å): 5.5413 5.9053 5.5079
angles (deg): 87.68 87.04 118.65
With the nearest neighbours (Å) after each atom.
Sites, in units of the cell vectors:
O: 0.5671 0.9099 0.5535  2 Cr 1.79-1.80
O: 0.5547 0.0370 0.0514  2 Cr 1.83-1.86
O: 0.9684 0.9391 0.2013  1 Cr 1.66
O: 0.0681 0.2580 0.7697  1 Cr 1.65
O: 0.4204 0.5260 0.2074  1 Cr 1.66
O: 0.6361 0.3898 0.7160  1 Cr 1.65
Mg: 0.3131 0.2242 0.0108  5 O 1.98-2.17
Cr: 0.6318 0.8320 0.2554  4 O 1.66-1.83
Cr: 0.7402 0.1715 0.7450  3 O 1.65-1.80

A geometry-optimized MgCr4O8 structure. Source: the Materials Project database, functional GGA+U.

Summary:
- Excess energy over the best structure of this formula in the dataset: 3.44 kcal/mol of atoms
- ΔE_f: -2104.6 meV per atom
- Corrected total energy (MP2020 scheme): -8.24 eV per atom

a b c (Å): 5.0635 5.2040 5.9191
angles (deg): 93.88 75.43 95.33
With the nearest neighbours (Å) after each atom.
Sites, in units of the cell vectors:
O: 0.7366 0.5911 0.1199  3 Cr 1.83-2.04
O: 0.1755 0.9927 0.0395  2 Cr 1.93-1.94, 1 Mg 1.95
O: 0.2011 0.4508 0.9102  1 Cr 1.80
O: 0.7730 0.0738 0.8525  1 Cr 1.78
O: 0.3089 0.8949 0.5844  2 Cr 1.88-2.03, 1 Mg 1.95
O: 0.7800 0.0956 0.3818  1 Mg 1.99, 3 Cr 2.00-2.18
O: 0.7638 0.5801 0.6276  1 Cr 1.81
O: 0.3582 0.3966 0.4608  2 Cr 1.89-1.94, 1 Mg 1.93
Cr: 0.9139 0.2495 0.0682  3 O 1.78-1.94
Cr: 0.5254 0.2439 0.6749  5 O 1.94-2.14
Cr: 0.5978 0.6992 0.4230  4 O 1.81-1.89
Cr: 0.0038 0.7511 0.8482  6 O 1.93-2.13
Mg: 0.1746 0.0806 0.3660  4 O 1.93-1.99

A geometry-optimized MgCrO15 structure. Source: the Materials Project database, functional GGA+U.

Summary:
- ΔE_f: -190.7 meV per atom
- Corrected total energy (MP2020 scheme): -5.22 eV per atom

a b c (Å): 5.6175 7.3751 12.6603
angles (deg): 78.35 91.10 68.09
With the nearest neighbours (Å) after each atom.
Sites, in units of the cell vectors:
O: 0.8111 0.7780 0.0789  1 O 1.29
O: 0.2403 0.5748 0.6347  2 O 1.26-1.38
O: 0.2626 0.4638 0.2788  1 Cr 1.67
O: 0.7697 0.6684 0.5280  1 O 1.24
O: 0.9195 0.0099 0.6592  1 O 1.32
O: 0.5787 0.5947 0.3479  1 O 1.26
O: 0.4964 0.9194 0.7567  1 Cr 1.66
O: 0.7237 0.2861 0.4471  1 O 1.38
O: 0.2763 0.7139 0.5529  1 O 1.38
O: 0.2978 0.6439 0.8177  1 Cr 1.68
O: 0.7598 0.5879 0.9223  1 Cr 1.65
O: 0.0201 0.0554 0.1652  1 O 1.32
O: 0.7276 0.8482 0.4948  1 O 1.24
O: 0.7597 0.4252 0.3653  2 O 1.26-1.38
O: 0.2303 0.3316 0.4720  1 O 1.24
O: 0.1889 0.2220 0.9211  1 O 1.29
O: 0.7022 0.3561 0.1823  1 Cr 1.68
O: 0.9799 0.9446 0.8348  1 O 1.32
O: 0.2724 0.1518 0.5052  1 O 1.24
O: 0.5036 0.0806 0.2433  1 Cr 1.66
O: 0.0805 0.9901 0.3408  1 O 1.32
O: 0.4213 0.4053 0.6521  1 O 1.26
O: 0.5877 0.7762 0.0997  2 O 1.29-1.34
O: 0.4100 0.8493 0.0131  1 O 1.34
O: 0.9946 0.9436 0.2562  2 O 1.32
O: 0.2402 0.4121 0.0777  1 Cr 1.65
O: 0.7374 0.5362 0.7212  1 Cr 1.67
O: 0.5900 0.1507 0.9869  1 O 1.34
O: 0.0054 0.0564 0.7438  2 O 1.32
O: 0.4123 0.2238 0.9003  2 O 1.29-1.34
Mg: 0.0000 0.0000 0.5000  6 O 2.06-2.21
Mg: 0.0000 0.0000 0.0000  6 O 2.14-2.34
Cr: 0.5775 0.6758 0.8050  4 O 1.65-1.68
Cr: 0.4225 0.3242 0.1950  4 O 1.65-1.68

A geometry-optimized MgCr2O6 structure. Source: the Materials Project database, functional GGA+U.

Summary:
- ΔE_f: -1908.7 meV per atom
- Corrected total energy (MP2020 scheme): -7.53 eV per atom

a b c (Å): 5.3873 6.0456 5.4816
angles (deg): 90.00 90.00 120.98
With the nearest neighbours (Å) after each atom.
Sites, in units of the cell vectors:
Cr: 0.7996 0.1878 0.7500  4 O 1.65-1.82
Cr: 0.5598 0.8219 0.2500  2 O 1.62-1.63
O: 0.0538 0.1123 0.7500  1 Cr 1.65
O: 0.5270 0.0009 0.5188  2 Cr 1.82-1.89, 1 Mg 2.04
O: 0.8732 0.8430 0.2500  1 Cr 1.63
O: 0.2731 0.5369 0.2500  1 Cr 1.62
O: 0.5270 0.0009 0.9812  2 Cr 1.82-1.89, 1 Mg 2.04
O: 0.8922 0.4965 0.7500  1 Cr 1.67
Mg: 0.1817 0.8621 0.7500  4 O 1.94-2.04

A geometry-optimized MgCr4O8 structure. Source: the Materials Project database, functional GGA+U.

Summary:
- Excess energy over the best structure of this formula in the dataset: 1.20 kcal/mol of atoms
- ΔE_f: -2201.5 meV per atom
- Corrected total energy (MP2020 scheme): -8.34 eV per atom

a b c (Å): 5.9542 5.9265 5.9522
angles (deg): 59.85 60.00 59.85
With the nearest neighbours (Å) after each atom.
Sites, in units of the cell vectors:
O: 0.7306 0.3080 0.7307  3 Cr 1.95
O: 0.2694 0.6920 0.2693  3 Cr 1.95
O: 0.2857 0.7251 0.7446  3 Cr 1.98-2.06, 1 Mg 2.15
O: 0.7143 0.2749 0.2554  3 Cr 1.98-2.06, 1 Mg 2.15
O: 0.7446 0.7251 0.7446  3 Cr 1.98-2.06, 1 Mg 2.15
O: 0.7446 0.7251 0.2856  3 Cr 1.98-2.06, 1 Mg 2.15
O: 0.2554 0.2749 0.2554  3 Cr 1.98-2.06, 1 Mg 2.15
O: 0.2554 0.2749 0.7144  3 Cr 1.98-2.06, 1 Mg 2.15
Cr: 0.5000 0.5000 0.5000  6 O 1.95-1.98
Cr: 0.5000 0.5000 0.0000  6 O 1.95-1.98
Cr: 0.5000 0.0000 0.5000  6 O 2.06
Cr: 0.0000 0.5000 0.5000  6 O 1.95-1.98
Mg: 0.0000 0.5000 0.0000  6 O 2.15

A geometry-optimized MgCr2O6 structure. Source: the Materials Project database, functional GGA+U.

Summary:
- ΔE_f: -1934.3 meV per atom
- Corrected total energy (MP2020 scheme): -7.56 eV per atom

a b c (Å): 5.4536 5.9513 5.5699
angles (deg): 90.85 85.54 122.17
With the nearest neighbours (Å) after each atom.
Sites, in units of the cell vectors:
O: 0.5166 0.9848 0.9882  2 Cr 1.84-1.89, 1 Mg 2.00
O: 0.5716 0.0342 0.5035  2 Cr 1.79-1.82
O: 0.0503 0.1134 0.7492  1 Cr 1.66
O: 0.8932 0.5019 0.7759  1 Cr 1.66
O: 0.2539 0.5384 0.2856  1 Cr 1.61
O: 0.8628 0.8253 0.2061  1 Cr 1.67
Cr: 0.7976 0.1880 0.7461  4 O 1.66-1.84
Cr: 0.5562 0.8222 0.2587  2 O 1.61-1.67
Mg: 0.1103 0.8543 0.9138  4 O 1.96-2.00

A geometry-optimized MgCr2O7 structure. Source: the Materials Project database, functional GGA+U.

Summary:
- ΔE_f: -1853.5 meV per atom
- Corrected total energy (MP2020 scheme): -7.41 eV per atom

a b c (Å): 6.5880 6.4001 7.7171
angles (deg): 70.86 90.00 90.00
With the nearest neighbours (Å) after each atom.
Sites, in units of the cell vectors:
Mg: 0.6214 0.8899 0.6514  4 O 2.02-2.08
Mg: 0.1214 0.1101 0.3486  4 O 2.02-2.08
O: 0.8695 0.4098 0.6459  1 Cr 1.59
O: 0.6246 0.8742 0.1692  1 Cr 1.59
O: 0.7700 0.0579 0.4089  1 Cr 1.70
O: 0.1246 0.1258 0.8308  1 Cr 1.59
O: 0.9083 0.8140 0.7658  1 Cr 1.65
O: 0.2700 0.9421 0.5911  1 Cr 1.70
O: 0.5664 0.1261 0.7657  1 Cr 1.66
O: 0.0664 0.8739 0.2343  1 Cr 1.66
O: 0.5310 0.5685 0.7343  1 Cr 1.66
O: 0.4083 0.1860 0.2342  1 Cr 1.65
O: 0.3695 0.5902 0.3541  1 Cr 1.59
O: 0.2629 0.7131 0.9829  2 Cr 1.76-1.81
O: 0.7629 0.2869 0.0171  2 Cr 1.76-1.81
O: 0.0310 0.4315 0.2657  1 Cr 1.66
Cr: 0.6396 0.1025 0.2095  4 O 1.59-1.76
Cr: 0.1813 0.6507 0.2178  3 O 1.59-1.66
Cr: 0.1396 0.8975 0.7905  4 O 1.59-1.76
Cr: 0.6813 0.3493 0.7822  3 O 1.59-1.66

A geometry-optimized MgCr4O8 structure. Source: the Materials Project database, functional GGA+U.

Summary:
- Excess energy over the best structure of this formula in the dataset: 0.00 kcal/mol of atoms
- ΔE_f: -2253.6 meV per atom
- Corrected total energy (MP2020 scheme): -8.39 eV per atom

a b c (Å): 6.0701 5.9570 5.9536
angles (deg): 59.73 59.39 59.33
With the nearest neighbours (Å) after each atom.
Sites, in units of the cell vectors:
O: 0.7137 0.2579 0.2570  1 Mg 2.02, 3 Cr 2.03-2.04
O: 0.2664 0.2555 0.7120  1 Mg 2.00, 3 Cr 2.01-2.03
O: 0.2970 0.7408 0.7403  3 Cr 1.94-2.01
O: 0.2715 0.2578 0.2570  1 Mg 2.02, 3 Cr 2.02-2.04
O: 0.2661 0.7109 0.2564  1 Mg 2.00, 3 Cr 2.01-2.03
O: 0.7270 0.3054 0.7414  3 Cr 1.85-2.01
O: 0.7261 0.7402 0.3068  3 Cr 1.85-2.01
O: 0.7221 0.7410 0.7399  3 Cr 1.94-2.01
Cr: 0.5065 0.9894 0.4977  6 O 1.85-2.03
Cr: 0.4967 0.5007 0.5018  6 O 2.01-2.04
Cr: 0.0010 0.5009 0.5015  6 O 2.01-2.04
Cr: 0.5063 0.5000 0.9875  6 O 1.85-2.03
Mg: 0.1247 0.1247 0.1259  4 O 2.00-2.02

A geometry-optimized MgCr4O8 structure. Source: the Materials Project database, functional GGA+U.

Summary:
- Excess energy over the best structure of this formula in the dataset: 1.59 kcal/mol of atoms
- ΔE_f: -2184.6 meV per atom
- Corrected total energy (MP2020 scheme): -8.32 eV per atom

a b c (Å): 5.8674 5.9702 5.9702
angles (deg): 59.99 59.40 59.37
With the nearest neighbours (Å) after each atom.
Sites, in units of the cell vectors:
Cr: 0.6324 0.6273 0.1127  6 O 1.91-2.09
Cr: 0.2676 0.2437 0.2443  4 O 1.82-1.92
Cr: 0.6332 0.6272 0.6278  6 O 1.91-2.09
Cr: 0.6319 0.1125 0.6280  6 O 1.91-2.09
O: 0.8633 0.3783 0.3793  4 Cr 1.92-2.09
O: 0.8343 0.8794 0.8806  2 Cr 1.91, 1 Mg 1.95
O: 0.4037 0.8650 0.8657  1 Mg 1.97, 3 Cr 1.99
O: 0.3960 0.8687 0.3679  1 Cr 1.82
O: 0.3955 0.3677 0.8693  1 Cr 1.82
O: 0.3960 0.3671 0.3673  1 Cr 1.82
O: 0.8340 0.4046 0.8803  2 Cr 1.91, 1 Mg 1.96
O: 0.8342 0.8789 0.4058  2 Cr 1.91-1.92, 1 Mg 1.95
Mg: 0.9892 0.0023 0.0041  4 O 1.95-1.97

A geometry-optimized MgCrO3 structure. Source: the Materials Project database, functional GGA+U.

Summary:
- ΔE_f: -2340.5 meV per atom
- Corrected total energy (MP2020 scheme): -7.56 eV per atom

a b c (Å): 5.2627 5.2445 3.0549
angles (deg): 90.00 90.00 116.01
With the nearest neighbours (Å) after each atom.
Sites, in units of the cell vectors:
Cr: 0.8280 0.9786 0.0000  4 O 1.75-1.88
Mg: 0.1766 0.6242 0.5000  5 O 2.04-2.05
O: 0.9621 0.8670 0.5000  2 Cr 1.88, 1 Mg 2.04
O: 0.4583 0.8058 0.0000  1 Cr 1.75
O: 0.9717 0.3495 0.0000  1 Cr 1.75

A geometry-optimized MgCrO2 structure. Source: the Materials Project database, functional GGA+U.

Summary:
- ΔE_f: -2246.3 meV per atom
- Corrected total energy (MP2020 scheme): -7.53 eV per atom

a b c (Å): 3.0483 8.1058 8.5997
angles (deg): 89.33 84.37 88.26
With the nearest neighbours (Å) after each atom.
Sites, in units of the cell vectors:
O: 0.3193 0.0779 0.2520  3 Mg 1.94-2.01, 1 Cr 2.13
O: 0.0314 0.7565 0.4231  1 Mg 2.00, 2 Cr 2.01-2.02
O: 0.7278 0.3975 0.2091  2 Mg 2.04-2.09, 3 Cr 2.15-2.27
O: 0.9686 0.2435 0.5769  1 Mg 2.00, 2 Cr 2.01-2.02
O: 0.2722 0.6025 0.7909  2 Mg 2.04-2.09, 3 Cr 2.15-2.27
O: 0.7362 0.7396 0.1161  2 Mg 1.94-1.99, 2 Cr 2.07-2.08
O: 0.6807 0.9221 0.7480  3 Mg 1.94-2.01, 1 Cr 2.13
O: 0.2638 0.2604 0.8839  2 Mg 1.94-1.99, 2 Cr 2.07-2.08
Mg: 0.7463 0.7375 0.8907  4 O 1.94-2.09
Mg: 0.1681 0.0816 0.7344  4 O 1.99-2.01
Mg: 0.2537 0.2626 0.1093  4 O 1.94-2.09
Mg: 0.8319 0.9184 0.2656  4 O 1.99-2.01
Cr: 0.4906 0.7575 0.5771  3 O 2.01-2.13
Cr: 0.2242 0.5876 0.1975  4 O 2.07-2.19
Cr: 0.7758 0.4124 0.8025  4 O 2.07-2.19
Cr: 0.5094 0.2425 0.4229  3 O 2.01-2.13

Number 1: density 3.93 Mg/m³, magnetic moment 2.00 μB per formula unit, energy -6.5948 eV per atom. Number 2: density 2.36 Mg/m³, magnetic moment 2.00 μB per formula unit, energy -6.6644 eV per atom. Number 3: density 3.98 Mg/m³, magnetic moment 10.00 μB per formula unit, energy -7.2049 eV per atom. Number 4: density 2.22 Mg/m³, magnetic moment 2.00 μB per formula unit, energy -5.1009 eV per atom. Number 5: density 2.43 Mg/m³, magnetic moment 2.00 μB per formula unit, energy -6.6281 eV per atom. Number 6: density 4.04 Mg/m³, magnetic moment 10.00 μB per formula unit, energy -7.3018 eV per atom. Number 7: density 2.44 Mg/m³, magnetic moment 2.00 μB per formula unit, energy -6.6537 eV per atom. Number 8: density 2.60 Mg/m³, magnetic moment 0.00 μB per formula unit, energy -6.5270 eV per atom. Number 9: density 3.98 Mg/m³, magnetic moment 10.00 μB per formula unit, energy -7.3539 eV per atom. Number 10: density 4.08 Mg/m³, magnetic moment 10.00 μB per formula unit, energy -7.2849 eV per atom. Number 11: density 2.72 Mg/m³, magnetic moment 2.00 μB per formula unit, energy -6.7480 eV per atom. Number 12: density 3.40 Mg/m³, magnetic moment 4.00 μB per formula unit, energy -6.6904 eV per atom.